# Na2VCSO7

Na2VCSO7 after structural relaxation (PBE with a Hubbard U, the Materials Project).

Cell and atoms, written as POSCAR:
```
Na2VCSO7
1.0
5.041 0.985 6.917
5.176 2.101 -6.558
-2.407 8.837 0.708
Na V C S O
8 4 4 4 28
Direct
0.614 0.618 0.209 Na
0.114 0.118 0.209 Na
0.368 0.864 0.209 Na
0.868 0.364 0.209 Na
0.632 0.136 0.791 Na
0.132 0.636 0.791 Na
0.386 0.382 0.791 Na
0.886 0.882 0.791 Na
0.265 0.515 0.357 V
0.735 0.485 0.643 V
0.765 0.015 0.357 V
0.235 0.985 0.643 V
0.737 0.987 0.082 C
0.237 0.487 0.082 C
0.263 0.013 0.918 C
0.763 0.513 0.918 C
0.486 0.236 0.419 S
0.986 0.736 0.419 S
0.514 0.764 0.581 S
0.014 0.264 0.581 S
0.277 0.027 0.054 O
0.777 0.527 0.054 O
0.723 0.973 0.946 O
0.223 0.473 0.946 O
0.848 0.098 0.142 O
0.348 0.598 0.142 O
0.152 0.902 0.858 O
0.652 0.402 0.858 O
0.642 0.892 0.178 O
0.142 0.392 0.178 O
0.358 0.108 0.822 O
0.858 0.608 0.822 O
0.461 0.711 0.432 O
0.961 0.211 0.432 O
0.539 0.289 0.568 O
0.039 0.789 0.568 O
0.346 0.095 0.433 O
0.846 0.595 0.433 O
0.654 0.905 0.567 O
0.154 0.405 0.567 O
0.441 0.369 0.337 O
0.941 0.869 0.337 O
0.619 0.191 0.337 O
0.119 0.691 0.337 O
0.381 0.809 0.663 O
0.881 0.309 0.663 O
0.559 0.631 0.663 O
0.059 0.131 0.663 O
```



# NaVSiCO7

NaVSiCO7 after structural relaxation (PBE with a Hubbard U, the Materials Project).

Cell and atoms, written as POSCAR:
```
NaVSiCO7
1.0
6.426 0.000 0.000
0.000 5.408 0.000
0.000 0.516 9.048
Na V Si C O
2 2 2 2 14
Direct
0.514 0.765 0.776 Na
0.014 0.235 0.224 Na
0.234 0.202 0.656 V
0.734 0.798 0.344 V
0.740 0.275 0.562 Si
0.240 0.725 0.438 Si
0.257 0.278 0.920 C
0.757 0.722 0.080 C
0.755 0.690 0.947 O
0.250 0.057 0.860 O
0.260 0.453 0.811 O
0.953 0.214 0.659 O
0.540 0.205 0.662 O
0.254 0.895 0.584 O
0.744 0.569 0.502 O
0.244 0.431 0.498 O
0.754 0.105 0.416 O
0.040 0.795 0.338 O
0.453 0.786 0.341 O
0.760 0.547 0.189 O
0.750 0.943 0.140 O
0.255 0.310 0.053 O
```



# Na3VSiCO7

Na3VSiCO7 after structural relaxation (PBE with a Hubbard U, the Materials Project).

Cell and atoms, written as POSCAR:
```
Na3VSiCO7
1.0
5.539 -3.673 -0.476
-1.202 -3.115 10.053
-4.920 -7.111 -2.382
Na V Si C O
12 4 4 4 28
Direct
0.250 0.386 0.088 Na
0.250 0.887 0.087 Na
0.750 0.113 0.913 Na
0.750 0.613 0.913 Na
0.013 0.130 0.276 Na
0.013 0.630 0.276 Na
0.487 0.130 0.276 Na
0.487 0.630 0.276 Na
0.513 0.370 0.724 Na
0.513 0.870 0.724 Na
0.987 0.370 0.724 Na
0.987 0.870 0.724 Na
0.750 0.891 0.345 V
0.250 0.608 0.655 V
0.750 0.391 0.345 V
0.250 0.109 0.655 V
0.250 0.358 0.419 Si
0.250 0.858 0.419 Si
0.750 0.142 0.581 Si
0.750 0.642 0.581 Si
0.750 0.356 0.059 C
0.750 0.856 0.059 C
0.250 0.144 0.941 C
0.250 0.644 0.941 C
0.250 0.156 0.083 O
0.250 0.656 0.083 O
0.750 0.344 0.917 O
0.750 0.844 0.917 O
0.750 0.468 0.116 O
0.750 0.968 0.116 O
0.250 0.032 0.884 O
0.250 0.532 0.884 O
0.750 0.258 0.153 O
0.750 0.758 0.152 O
0.250 0.242 0.847 O
0.250 0.742 0.847 O
0.250 0.203 0.460 O
0.250 0.703 0.460 O
0.750 0.297 0.540 O
0.750 0.797 0.539 O
0.750 0.067 0.426 O
0.750 0.567 0.426 O
0.250 0.434 0.574 O
0.250 0.933 0.574 O
0.053 0.392 0.313 O
0.053 0.892 0.313 O
0.447 0.392 0.313 O
0.447 0.892 0.313 O
0.553 0.108 0.687 O
0.553 0.608 0.687 O
0.947 0.108 0.687 O
0.947 0.608 0.687 O
```



| no. | ΔH_f (0 K) (eV per formula unit) | magnetic moment (μB per formula unit) |
| --- | --- | --- |
| 1 | -25.24 | 0.000 |
| 2 | -26.04 | 0.000 |
| 3 | -31.90 | 2.000 |